A plane-wave DFT calculation with GGA-PBE was carried out for a relaxed Na10Y8Si5S7O48 crystal.

Unit cell a=9.3722 b=16.2495 c=23.9809 alpha=90.21 beta=90.01 gamma=90.04
Space group P1 (No. 1)
One atom of each set of equivalent atoms:
Na 0.0000 0.0000 0.0000 (multiplicity 1)
Na 0.9997 0.6671 0.3340 (multiplicity 1)
Na 0.0277 0.9974 0.6568 (multiplicity 1)
Na 0.0493 0.3068 0.9931 (multiplicity 1)
Na 0.0535 0.6458 0.6499 (multiplicity 1)
Na 0.1612 0.1485 0.1519 (multiplicity 1)
Na 0.1646 0.8046 0.4922 (multiplicity 1)
Na 0.1847 0.4971 0.1557 (multiplicity 1)
Na 0.2123 0.8337 0.1662 (multiplicity 1)
Na 0.2152 0.1682 0.8335 (multiplicity 1)
Na 0.3324 0.6530 0.5749 (multiplicity 1)
Na 0.3403 0.9816 0.2453 (multiplicity 1)
Na 0.3497 0.3255 0.9082 (multiplicity 1)
Na 0.3658 0.3220 0.4077 (multiplicity 1)
Na 0.3737 0.9739 0.7419 (multiplicity 1)
Na 0.3954 0.6474 0.0704 (multiplicity 1)
Na 0.4868 0.8343 0.6673 (multiplicity 1)
Na 0.5001 0.1690 0.3332 (multiplicity 1)
Na 0.5279 0.4985 0.6575 (multiplicity 1)
Na 0.5531 0.1460 0.6490 (multiplicity 1)
Na 0.6648 0.3045 0.4911 (multiplicity 1)
Na 0.7134 0.6679 0.8351 (multiplicity 1)
Na 0.7287 0.3358 0.1662 (multiplicity 1)
Na 0.8323 0.1531 0.5739 (multiplicity 1)
Na 0.8327 0.8156 0.9081 (multiplicity 1)
Na 0.8358 0.4778 0.2397 (multiplicity 1)
Na 0.8629 0.8222 0.4101 (multiplicity 1)
Na 0.8695 0.1561 0.0799 (multiplicity 1)
Na 0.8731 0.4755 0.7433 (multiplicity 1)
Na 0.9873 0.3355 0.6664 (multiplicity 1)
Y 0.3479 0.6623 0.4254 (multiplicity 1)
Y 0.3492 0.6673 0.7263 (multiplicity 1)
Y 0.3532 0.3289 0.0582 (multiplicity 1)
Y 0.3527 0.9988 0.0893 (multiplicity 1)
Y 0.3543 0.3372 0.7581 (multiplicity 1)
Y 0.3557 0.9938 0.3908 (multiplicity 1)
Y 0.3599 0.3360 0.2579 (multiplicity 1)
Y 0.3610 0.3273 0.5579 (multiplicity 1)
Y 0.3643 0.9905 0.8902 (multiplicity 1)
Y 0.3684 0.6620 0.2256 (multiplicity 1)
Y 0.3688 0.9966 0.5897 (multiplicity 1)
Y 0.3719 0.6659 0.9266 (multiplicity 1)
Y 0.8421 0.5006 0.0921 (multiplicity 1)
Y 0.8473 0.1620 0.4248 (multiplicity 1)
Y 0.8497 0.1675 0.7255 (multiplicity 1)
Y 0.8504 0.8232 0.0565 (multiplicity 1)
Y 0.8547 0.8361 0.7582 (multiplicity 1)
Y 0.8556 0.4928 0.3902 (multiplicity 1)
Y 0.8592 0.4945 0.8910 (multiplicity 1)
Y 0.8614 0.1663 0.9236 (multiplicity 1)
Y 0.8608 0.8271 0.5582 (multiplicity 1)
Y 0.8620 0.1644 0.2239 (multiplicity 1)
Y 0.8684 0.4969 0.5896 (multiplicity 1)
Y 0.8685 0.8358 0.2589 (multiplicity 1)
Si 0.0055 0.6469 0.4892 (multiplicity 1)
Si 0.0083 0.9768 0.1535 (multiplicity 1)
Si 0.0117 0.3131 0.8243 (multiplicity 1)
Si 0.0589 0.3291 0.1564 (multiplicity 1)
Si 0.1554 0.8292 0.6564 (multiplicity 1)
Si 0.2083 0.1451 0.9880 (multiplicity 1)
Si 0.2089 0.8112 0.3231 (multiplicity 1)
Si 0.2097 0.4776 0.6568 (multiplicity 1)
Si 0.5029 0.4780 0.1572 (multiplicity 1)
Si 0.5061 0.1469 0.4896 (multiplicity 1)
Si 0.5112 0.8115 0.8223 (multiplicity 1)
Si 0.6550 0.3293 0.6564 (multiplicity 1)
Si 0.7045 0.3114 0.3241 (multiplicity 1)
Si 0.7093 0.6459 0.9880 (multiplicity 1)
Si 0.7099 0.9773 0.6570 (multiplicity 1)
S 0.0056 0.3456 0.4908 (multiplicity 1)
S 0.0071 0.0145 0.8251 (multiplicity 1)
S 0.0072 0.6810 0.1596 (multiplicity 1)
S 0.0578 0.6609 0.8251 (multiplicity 1)
S 0.0616 0.9952 0.4922 (multiplicity 1)
S 0.1528 0.4955 0.9924 (multiplicity 1)
S 0.1561 0.1606 0.3245 (multiplicity 1)
S 0.2083 0.5147 0.3241 (multiplicity 1)
S 0.2082 0.8466 0.9921 (multiplicity 1)
S 0.2093 0.1799 0.6591 (multiplicity 1)
S 0.5042 0.1802 0.1586 (multiplicity 1)
S 0.5065 0.5151 0.8242 (multiplicity 1)
S 0.5056 0.8459 0.4906 (multiplicity 1)
S 0.5565 0.1607 0.8244 (multiplicity 1)
S 0.5604 0.8285 0.1584 (multiplicity 1)
S 0.5618 0.4953 0.4921 (multiplicity 1)
S 0.6562 0.9945 0.9914 (multiplicity 1)
S 0.6572 0.6618 0.3255 (multiplicity 1)
S 0.7081 0.0141 0.3241 (multiplicity 1)
S 0.7090 0.6798 0.6589 (multiplicity 1)
S 0.7096 0.3467 0.9914 (multiplicity 1)
O 0.0287 0.1493 0.9867 (multiplicity 1)
O 0.0304 0.8111 0.3204 (multiplicity 1)
O 0.0347 0.4909 0.6523 (multiplicity 1)
O 0.0492 0.8423 0.7094 (multiplicity 1)
O 0.0494 0.8448 0.9968 (multiplicity 1)
O 0.0496 0.5123 0.3292 (multiplicity 1)
O 0.0518 0.1695 0.6649 (multiplicity 1)
O 0.0559 0.4825 0.9439 (multiplicity 1)
O 0.0610 0.8122 0.5996 (multiplicity 1)
O 0.0637 0.1675 0.3737 (multiplicity 1)
O 0.0689 0.5040 0.0444 (multiplicity 1)
O 0.0708 0.1495 0.2729 (multiplicity 1)
O 0.1423 0.6503 0.7728 (multiplicity 1)
O 0.1462 0.0046 0.5441 (multiplicity 1)
O 0.1508 0.6685 0.8737 (multiplicity 1)
O 0.1533 0.3108 0.0996 (multiplicity 1)
O 0.1587 0.9829 0.4437 (multiplicity 1)
O 0.1611 0.3370 0.4956 (multiplicity 1)
O 0.1662 0.0113 0.8301 (multiplicity 1)
O 0.1660 0.3402 0.2093 (multiplicity 1)
O 0.1667 0.6766 0.1646 (multiplicity 1)
O 0.1833 0.6593 0.4882 (multiplicity 1)
O 0.1879 0.9830 0.1522 (multiplicity 1)
O 0.1886 0.3109 0.8226 (multiplicity 1)
O 0.2288 0.4175 0.7108 (multiplicity 1)
O 0.2334 0.2327 0.6100 (multiplicity 1)
O 0.2379 0.5638 0.2729 (multiplicity 1)
O 0.2389 0.0884 0.0444 (multiplicity 1)
O 0.2404 0.9000 0.9436 (multiplicity 1)
O 0.2413 0.4185 0.9947 (multiplicity 1)
O 0.2416 0.7525 0.3778 (multiplicity 1)
O 0.2433 0.5685 0.9850 (multiplicity 1)
O 0.2496 0.2345 0.3207 (multiplicity 1)
O 0.2532 0.0871 0.3285 (multiplicity 1)
O 0.2547 0.9131 0.6513 (multiplicity 1)
O 0.2593 0.7469 0.6617 (multiplicity 1)
O 0.2656 0.7635 0.9857 (multiplicity 1)
O 0.2674 0.4312 0.3207 (multiplicity 1)
O 0.2685 0.0969 0.9328 (multiplicity 1)
O 0.2694 0.7667 0.2658 (multiplicity 1)
O 0.2708 0.2393 0.9916 (multiplicity 1)
O 0.2715 0.8838 0.0435 (multiplicity 1)
O 0.2721 0.5556 0.3732 (multiplicity 1)
O 0.2736 0.0967 0.6515 (multiplicity 1)
O 0.2740 0.2162 0.7097 (multiplicity 1)
O 0.2784 0.9034 0.3287 (multiplicity 1)
O 0.2815 0.4329 0.6027 (multiplicity 1)
O 0.2880 0.5684 0.6635 (multiplicity 1)
O 0.4183 0.5674 0.1634 (multiplicity 1)
O 0.4303 0.4335 0.1030 (multiplicity 1)
O 0.4362 0.7636 0.4847 (multiplicity 1)
O 0.4368 0.0974 0.1512 (multiplicity 1)
O 0.4388 0.2412 0.4909 (multiplicity 1)
O 0.4388 0.9032 0.8288 (multiplicity 1)
O 0.4398 0.2161 0.2095 (multiplicity 1)
O 0.4413 0.8825 0.5420 (multiplicity 1)
O 0.4431 0.5561 0.8729 (multiplicity 1)
O 0.4474 0.0990 0.4334 (multiplicity 1)
O 0.4469 0.4309 0.8210 (multiplicity 1)
O 0.4523 0.7710 0.7634 (multiplicity 1)
O 0.4607 0.0874 0.8290 (multiplicity 1)
O 0.4629 0.7551 0.1623 (multiplicity 1)
O 0.4641 0.2347 0.8206 (multiplicity 1)
O 0.4659 0.9025 0.1531 (multiplicity 1)
O 0.4701 0.0955 0.5469 (multiplicity 1)
O 0.4714 0.5689 0.4849 (multiplicity 1)
O 0.4715 0.7497 0.8741 (multiplicity 1)
O 0.4718 0.8975 0.4419 (multiplicity 1)
O 0.4735 0.4190 0.4948 (multiplicity 1)
O 0.4773 0.2322 0.1094 (multiplicity 1)
O 0.4782 0.4199 0.2120 (multiplicity 1)
O 0.4778 0.5625 0.7723 (multiplicity 1)
O 0.5272 0.3105 0.3226 (multiplicity 1)
O 0.5330 0.6539 0.9881 (multiplicity 1)
O 0.5349 0.9909 0.6526 (multiplicity 1)
O 0.5488 0.0108 0.3293 (multiplicity 1)
O 0.5488 0.3415 0.7095 (multiplicity 1)
O 0.5517 0.6693 0.6645 (multiplicity 1)
O 0.5541 0.3363 0.9959 (multiplicity 1)
O 0.5607 0.3117 0.5997 (multiplicity 1)
O 0.5661 0.9838 0.9415 (multiplicity 1)
O 0.5668 0.6701 0.3753 (multiplicity 1)
O 0.5676 0.0033 0.0418 (multiplicity 1)
O 0.5685 0.6500 0.2749 (multiplicity 1)
O 0.6422 0.1495 0.7729 (multiplicity 1)
O 0.6460 0.5050 0.5441 (multiplicity 1)
O 0.6485 0.8174 0.1082 (multiplicity 1)
O 0.6488 0.8368 0.2087 (multiplicity 1)
O 0.6500 0.1683 0.8735 (multiplicity 1)
O 0.6588 0.4832 0.4438 (multiplicity 1)
O 0.6614 0.1719 0.1638 (multiplicity 1)
O 0.6611 0.8371 0.4953 (multiplicity 1)
O 0.6657 0.5113 0.8292 (multiplicity 1)
O 0.6778 0.4837 0.1535 (multiplicity 1)
O 0.6837 0.1587 0.4883 (multiplicity 1)
O 0.6882 0.8113 0.8220 (multiplicity 1)
O 0.7300 0.9176 0.7110 (multiplicity 1)
O 0.7334 0.7326 0.6097 (multiplicity 1)
O 0.7383 0.0644 0.2744 (multiplicity 1)
O 0.7411 0.2530 0.3791 (multiplicity 1)
O 0.7422 0.3973 0.9421 (multiplicity 1)
O 0.7489 0.0691 0.9860 (multiplicity 1)
O 0.7491 0.7363 0.3197 (multiplicity 1)
O 0.7502 0.5897 0.0419 (multiplicity 1)
O 0.7528 0.9218 0.9954 (multiplicity 1)
O 0.7541 0.4132 0.6513 (multiplicity 1)
O 0.7542 0.5890 0.3294 (multiplicity 1)
O 0.7599 0.2473 0.6618 (multiplicity 1)
O 0.7656 0.2658 0.2673 (multiplicity 1)
O 0.7656 0.9296 0.3186 (multiplicity 1)
O 0.7678 0.6032 0.9297 (multiplicity 1)
O 0.7718 0.0515 0.3744 (multiplicity 1)
O 0.7741 0.3833 0.0424 (multiplicity 1)
O 0.7736 0.5968 0.6513 (multiplicity 1)
O 0.7740 0.7163 0.7094 (multiplicity 1)
O 0.7762 0.4033 0.3297 (multiplicity 1)
O 0.7798 0.2639 0.9855 (multiplicity 1)
O 0.7815 0.9331 0.6027 (multiplicity 1)
O 0.7832 0.7384 0.9934 (multiplicity 1)
O 0.7882 0.0682 0.6637 (multiplicity 1)
O 0.9364 0.2633 0.4849 (multiplicity 1)
O 0.9388 0.4041 0.8296 (multiplicity 1)
O 0.9385 0.7416 0.4907 (multiplicity 1)
O 0.9411 0.3824 0.5421 (multiplicity 1)
O 0.9433 0.7176 0.2104 (multiplicity 1)
O 0.9451 0.0546 0.8754 (multiplicity 1)
O 0.9467 0.0706 0.1615 (multiplicity 1)
O 0.9474 0.5995 0.4329 (multiplicity 1)
O 0.9469 0.9311 0.8215 (multiplicity 1)
O 0.9480 0.9339 0.0962 (multiplicity 1)
O 0.9503 0.2677 0.7675 (multiplicity 1)
O 0.9525 0.5964 0.1529 (multiplicity 1)
O 0.9527 0.2475 0.1617 (multiplicity 1)
O 0.9619 0.4133 0.1515 (multiplicity 1)
O 0.9616 0.5873 0.8287 (multiplicity 1)
O 0.9638 0.7348 0.8207 (multiplicity 1)
O 0.9698 0.5956 0.5465 (multiplicity 1)
O 0.9717 0.0687 0.4850 (multiplicity 1)
O 0.9721 0.3975 0.4421 (multiplicity 1)
O 0.9732 0.9188 0.4948 (multiplicity 1)
O 0.9749 0.2544 0.8792 (multiplicity 1)
O 0.9766 0.0642 0.7747 (multiplicity 1)
O 0.9776 0.7336 0.1106 (multiplicity 1)
O 0.9792 0.9146 0.2064 (multiplicity 1)

Output
Total magnetic moment: 0.00 μB/f.u.
DFT formation energy: -2802 meV per atom
Final energy: -1632.253 eV/cell
Mass density: 2.83 g/cm3